[1]
Density functional theory data (GGA+U) for crystalline Sr2La6FeCu7O20 at its relaxed geometry.

```
Sr2La6FeCu7O20
1.0
3.980 0.000 0.000
0.000 10.736 -0.002
0.000 -0.001 10.767
O Sr Cu La Fe
20 2 7 6 1
Cartesian
0.000 1.802 0.904
0.000 6.352 7.154
1.990 5.379 5.447
0.000 7.115 4.410
1.990 2.483 7.800
0.000 1.320 4.039
0.000 4.041 9.416
1.990 10.700 5.304
1.990 0.000 0.115
0.000 9.818 1.784
1.990 5.376 10.688
1.990 8.378 2.989
0.000 1.035 9.091
0.000 4.240 3.755
1.990 2.882 2.406
0.000 8.979 9.847
0.000 6.778 1.251
0.000 3.626 6.377
0.000 9.314 6.636
1.990 7.720 8.392
1.990 5.632 2.790
1.990 10.490 8.047
0.000 8.338 2.980
0.000 2.420 7.804
0.000 10.693 5.345
0.000 5.377 5.393
0.000 2.937 2.409
0.000 5.391 10.730
0.000 7.779 8.376
1.990 2.860 5.053
1.990 7.979 5.644
1.990 8.026 0.258
1.990 2.621 10.467
1.990 0.225 2.700
1.990 5.120 7.989
0.000 10.731 10.739
```

Values from the calculation:
The value obtained for the volume is 460.09 Å³/cell. The energy of formation from the pure elements comes out at -2471 meV per atom. The calculation puts the total magnetization at 4.5 μB per cell.

=====

[2]
Density functional theory data (GGA+U) for crystalline LaZnFeCuO6 at its relaxed geometry.

```
LaZnFeCuO6
1.0
-1.797 2.868 -4.252
-4.877 -1.652 0.948
-5.802 4.665 5.598
O Zn La Fe Cu
12 2 2 2 2
Cartesian
-6.508 5.320 1.429
-2.864 1.802 0.389
-5.528 4.319 -1.348
-9.115 2.589 3.998
-4.613 0.543 -1.078
-5.133 1.967 -3.156
-5.046 2.912 0.650
-6.812 4.072 5.276
-7.961 5.267 3.417
-6.389 1.674 3.536
-7.182 1.803 -1.093
-7.555 2.941 1.624
-4.076 2.718 -1.341
-6.240 3.875 3.201
-9.359 4.561 1.574
-5.431 0.589 1.205
-1.367 2.159 -3.144
-3.386 3.084 1.743
-2.863 -0.077 -0.588
-6.657 3.682 0.097
```

Values from the calculation:
The value obtained for the volume is 224.59 Å³/cell. The energy of formation from the pure elements comes out at -1886 meV per atom. The calculation puts the total magnetization at 8.0 μB per cell.

=====

[3]
Density functional theory data (GGA+U) for crystalline Li4Mn2Fe3Cu3O16 at its relaxed geometry.

```
Li4Mn2Fe3Cu3O16
1.0
-0.289 5.798 0.780
-1.676 -2.368 -5.098
-8.776 -0.906 3.304
Cu O Fe Mn Li
3 16 3 2 4
Cartesian
-2.483 -0.010 -0.907
-6.630 0.933 1.746
-3.306 -1.164 -3.394
-1.350 4.311 0.120
-7.672 2.149 3.025
-7.072 -0.674 2.637
-6.818 1.342 -1.756
-4.807 0.204 -3.371
-1.208 1.462 -0.279
-2.184 3.135 -2.412
-4.072 1.245 -1.130
-2.661 -0.205 0.968
-6.047 2.492 0.831
-5.830 -0.390 0.359
-8.514 3.646 1.107
-6.643 -1.538 -2.112
-2.148 0.206 -2.762
-3.949 -1.303 -1.474
-8.417 1.095 0.757
-7.603 2.604 -0.362
-3.455 1.677 -3.016
-6.781 3.764 2.136
-9.392 2.172 2.080
-5.474 -0.066 -1.545
-8.729 -0.884 3.277
-4.233 2.701 0.138
-9.091 -0.515 -0.147
-4.328 -0.372 1.595
```

Values from the calculation:
The value obtained for the volume is 280.09 Å³/cell. The energy of formation from the pure elements comes out at -1545 meV per atom. The calculation puts the total magnetization at 21.7 μB per cell.

=====

[4]
Density functional theory data (GGA+U) for crystalline Li4Nb2Fe3Cu3O16 at its relaxed geometry.

```
Li4Nb2Fe3Cu3O16
1.0
-5.919 0.000 0.000
2.924 5.209 0.000
-0.082 -0.401 -9.776
Fe O Li Cu Nb
3 16 4 3 2
Cartesian
-1.581 0.574 -6.992
-0.024 1.691 -2.110
-4.473 0.602 -7.020
-5.976 -0.321 -7.873
1.383 4.113 -5.750
-1.728 2.212 -8.243
-1.294 2.295 -3.503
-0.178 4.821 -3.275
-1.511 0.833 -0.909
-4.518 1.106 -0.747
-2.883 3.507 -0.947
-3.035 1.465 -5.954
-0.115 3.452 -1.120
1.306 2.631 -3.340
-0.029 1.482 -5.854
-1.532 4.118 -5.763
-3.018 -0.114 -8.257
-2.911 5.081 -2.933
-4.341 2.239 -8.253
-3.030 1.560 -3.949
-3.045 4.910 -4.774
-0.103 3.205 -8.827
-3.083 4.763 -9.687
1.398 4.243 -2.124
-1.509 4.223 -2.072
-3.053 3.135 -6.990
-0.129 3.141 -4.853
-3.021 1.353 -9.716
```

Values from the calculation:
The value obtained for the volume is 301.40 Å³/cell. The energy of formation from the pure elements comes out at -1933 meV per atom. As for the energy above the most stable polymorph in this dataset: 0 meV per atom. The calculation puts the total magnetization at 19.0 μB per cell.

=====

[5]
Density functional theory data (GGA+U) for crystalline Li4Nb2Fe3Cu3O16 at its relaxed geometry.

```
Li4Nb2Fe3Cu3O16
1.0
5.947 -0.006 0.015
-2.978 5.168 0.007
0.024 0.027 9.736
O Li Fe Cu Nb
16 4 3 3 2
Cartesian
1.490 4.317 5.791
1.685 2.543 8.262
3.007 0.217 8.242
0.019 0.015 2.952
-0.032 1.740 5.728
-0.033 3.429 1.098
2.955 3.448 0.896
-1.317 2.685 3.327
1.506 0.869 0.908
2.962 1.723 5.956
0.006 4.975 3.357
1.322 2.691 3.352
4.330 2.509 8.215
-1.502 4.252 5.717
0.064 0.042 7.814
4.452 0.840 0.886
0.056 0.040 4.770
0.078 0.063 9.653
2.934 1.700 3.910
-0.011 3.456 8.819
1.449 4.290 2.109
4.445 0.904 7.007
2.999 3.418 7.007
1.546 0.908 6.971
-0.003 1.763 2.103
-1.459 4.289 2.107
0.032 3.467 4.837
2.990 1.753 9.711
```

Values from the calculation:
The value obtained for the volume is 299.05 Å³/cell. The energy of formation from the pure elements comes out at -1924 meV per atom. As for the energy above the most stable polymorph in this dataset: 9 meV per atom. The calculation puts the total magnetization at 19.0 μB per cell.

=====

[6]
Density functional theory data (GGA+U) for crystalline Li2Fe3CuO8 at its relaxed geometry.

```
Li2Fe3CuO8
1.0
2.365 5.267 1.347
-3.046 3.807 3.372
1.785 1.081 5.549
O Cu Fe Li
8 1 3 2
Cartesian
1.356 5.058 3.325
0.289 2.659 2.689
2.181 5.754 6.033
-0.252 5.098 6.944
1.095 3.176 5.214
0.009 6.980 5.054
0.815 7.497 7.580
-1.078 4.401 4.236
0.552 5.078 5.134
2.075 3.174 3.448
-0.630 2.444 4.461
-0.341 4.537 2.360
0.964 8.869 8.967
0.140 1.287 1.301
```

Values from the calculation:
The value obtained for the volume is 148.50 Å³/cell. The energy of formation from the pure elements comes out at -1534 meV per atom. As for the energy above the most stable polymorph in this dataset: 7 meV per atom. The calculation puts the total magnetization at 13.6 μB per cell.

=====

[7]
Density functional theory data (GGA+U) for crystalline Li2Fe3CuO8 at its relaxed geometry.

```
Li2Fe3CuO8
1.0
-3.416 0.411 -4.798
-5.485 -2.182 0.109
-4.620 3.676 -0.006
Fe O Li Cu
3 8 2 1
Cartesian
-4.462 -0.852 -2.331
-4.038 2.014 -2.387
-5.051 0.746 0.013
-4.979 0.669 -3.375
-8.545 1.236 -1.287
-3.454 0.486 -1.199
-5.923 -0.513 -1.139
-7.984 -0.283 -3.516
-10.105 1.423 -3.509
-7.582 2.442 -3.569
-5.528 2.158 -1.191
-6.735 0.949 -2.339
-1.609 0.227 -0.559
-11.893 1.675 -4.130
```

Values from the calculation:
The value obtained for the volume is 146.23 Å³/cell. The energy of formation from the pure elements comes out at -1489 meV per atom. As for the energy above the most stable polymorph in this dataset: 51 meV per atom. The calculation puts the total magnetization at 11.0 μB per cell.

=====

[8]
Density functional theory data (GGA+U) for crystalline Li2Fe3CuO8 at its relaxed geometry.

```
Li2Fe3CuO8
1.0
2.968 -5.140 0.000
2.968 5.140 0.000
0.000 0.000 9.459
Cu O Fe Li
2 16 6 4
Cartesian
2.968 -1.713 9.325
2.968 1.713 4.596
1.511 0.872 5.686
0.000 0.000 7.570
2.968 -3.396 0.956
2.968 -1.713 5.694
1.511 -0.872 0.956
4.425 -0.872 0.956
2.968 -0.221 7.998
2.968 0.221 3.268
4.260 2.460 3.268
2.968 1.713 0.965
4.425 0.872 5.686
0.000 0.000 2.841
1.675 -2.460 7.998
4.260 -2.460 7.998
1.675 2.460 3.268
2.968 3.396 5.686
1.530 -0.883 6.728
2.968 -3.373 6.728
1.530 0.883 1.998
4.405 -0.883 6.728
4.405 0.883 1.998
2.968 3.373 1.998
0.000 0.000 4.650
2.968 1.713 8.497
0.000 0.000 9.380
2.968 -1.713 3.768
```

Values from the calculation:
The value obtained for the volume is 288.59 Å³/cell. The energy of formation from the pure elements comes out at -1496 meV per atom. As for the energy above the most stable polymorph in this dataset: 44 meV per atom. The calculation puts the total magnetization at 27.6 μB per cell.